# 1
The following is a PBE calculation of a relaxed structure of ErMo6S8, from the Materials Project.

Computed properties:
As for the calculated total energy: -116.05 eV per cell. The calculation puts the calculated density at 6.06 g/cm3.

abc: 6.496 6.496 6.496
angles: 89.52 89.52 89.52
Atoms (fractional coordinates):
S  0.752  0.368  0.128
S  0.248  0.632  0.872
S  0.368  0.128  0.752
S  0.632  0.872  0.248
S  0.128  0.752  0.368
S  0.872  0.248  0.632
S  0.237  0.237  0.237
S  0.763  0.763  0.763
Mo  0.440  0.777  0.580
Mo  0.560  0.223  0.420
Mo  0.580  0.440  0.777
Mo  0.223  0.420  0.560
Mo  0.777  0.580  0.440
Mo  0.420  0.560  0.223
Er  0.000  0.000  0.000



# 2
The following is a PBE calculation of a relaxed structure of BaTmO3, from the Materials Project.

Computed properties:
As for the calculated total energy: -35.15 eV per cell. The calculation puts the calculated density at 7.03 g/cm3.

abc: 4.374 4.374 4.374
angles: 90.00 90.00 90.00
Atoms (fractional coordinates):
O  0.000  0.500  0.500
O  0.500  0.500  0.000
O  0.500  0.000  0.500
Ba  0.000  0.000  0.000
Tm  0.500  0.500  0.500



# 3
The following is a PBE calculation of a relaxed structure of NaNbO3, from the Materials Project.

Computed properties:
As for the calculated total energy: -305.90 eV per cell. The calculation puts the calculated density at 4.19 g/cm3.

abc: 5.692 5.703 15.991
angles: 90.00 90.00 90.00
Atoms (fractional coordinates):
O  0.491  0.500  0.500
O  0.249  0.254  0.629
O  0.751  0.746  0.129
O  0.000  0.002  0.250
O  0.509  0.500  0.000
O  0.251  0.755  0.879
O  0.009  0.000  0.500
O  0.752  0.254  0.625
O  0.249  0.746  0.371
O  0.749  0.245  0.379
O  0.500  0.485  0.250
O  0.991  0.000  0.000
O  0.248  0.746  0.125
O  0.752  0.746  0.375
O  0.248  0.254  0.875
O  0.748  0.754  0.875
O  0.751  0.254  0.871
O  0.252  0.246  0.375
O  0.252  0.754  0.625
O  0.749  0.755  0.621
O  0.748  0.246  0.125
O  0.500  0.515  0.750
O  0.000  0.998  0.750
O  0.251  0.245  0.121
Nb  0.501  0.520  0.375
Nb  0.997  0.976  0.875
Nb  0.499  0.520  0.125
Nb  0.003  0.976  0.625
Nb  0.997  0.024  0.125
Nb  0.003  0.024  0.375
Nb  0.501  0.480  0.625
Nb  0.499  0.480  0.875
Na  0.512  0.000  0.500
Na  0.000  0.479  0.750
Na  0.500  0.002  0.250
Na  0.007  0.500  0.000
Na  0.500  0.998  0.750
Na  0.000  0.521  0.250
Na  0.993  0.500  0.500
Na  0.488  0.000  0.000



# 4
The following is a PBE calculation of a relaxed structure of LuGaNi, from the Materials Project.

Computed properties:
As for the calculated total energy: -61.35 eV per cell. The calculation puts the calculated density at 9.89 g/cm3.

abc: 4.251 6.687 7.165
angles: 90.00 90.00 90.00
Atoms (fractional coordinates):
Lu  0.750  0.482  0.302
Lu  0.250  0.018  0.802
Lu  0.250  0.518  0.698
Lu  0.750  0.982  0.198
Ga  0.750  0.817  0.580
Ga  0.250  0.183  0.420
Ga  0.250  0.683  0.080
Ga  0.750  0.317  0.920
Ni  0.250  0.293  0.091
Ni  0.250  0.793  0.409
Ni  0.750  0.707  0.909
Ni  0.750  0.207  0.591



# 5
The following is a PBE calculation of a relaxed structure of AcMg149, from the Materials Project.

Computed properties:
As for the calculated total energy: -245.56 eV per cell. The calculation puts the calculated density at 1.83 g/cm3.

abc: 16.047 16.047 15.668
angles: 90.00 90.00 120.00
Atoms (fractional coordinates):
Mg  0.067  0.733  0.500
Mg  0.400  0.600  0.666
Mg  0.667  0.333  0.834
Mg  0.467  0.933  0.832
Mg  0.004  0.793  0.000
Mg  0.668  0.133  0.166
Mg  0.600  0.599  0.666
Mg  0.269  0.932  0.168
Mg  0.867  0.535  0.834
Mg  0.788  0.793  0.000
Mg  0.070  0.140  0.825
Mg  0.067  0.134  0.500
Mg  0.600  0.800  0.666
Mg  0.866  0.333  0.500
Mg  0.070  0.930  0.825
Mg  0.000  0.400  0.666
Mg  0.399  0.601  0.000
Mg  0.202  0.201  0.335
Mg  0.067  0.533  0.832
Mg  0.663  0.731  0.168
Mg  0.200  0.800  0.666
Mg  0.598  0.000  0.000
Mg  0.269  0.932  0.832
Mg  0.799  0.598  0.000
Mg  0.000  0.400  0.334
Mg  0.788  0.996  0.000
Mg  0.070  0.140  0.175
Mg  0.600  0.400  0.000
Mg  0.667  0.134  0.500
Mg  0.267  0.933  0.500
Mg  0.467  0.533  0.168
Mg  0.465  0.733  0.833
Mg  0.207  0.996  0.000
Mg  0.202  0.405  0.000
Mg  0.200  0.600  0.334
Mg  0.000  0.599  0.334
Mg  0.400  0.200  0.333
Mg  0.869  0.131  0.164
Mg  0.262  0.131  0.836
Mg  0.269  0.337  0.832
Mg  0.799  0.201  0.000
Mg  0.800  0.400  0.333
Mg  0.200  0.600  0.666
Mg  0.267  0.733  0.167
Mg  0.467  0.933  0.168
Mg  0.401  0.000  0.666
Mg  0.000  0.000  0.335
Mg  0.465  0.133  0.834
Mg  0.466  0.733  0.500
Mg  0.400  0.600  0.334
Mg  0.666  0.733  0.500
Mg  0.667  0.533  0.500
Mg  0.067  0.933  0.500
Mg  0.600  0.200  0.333
Mg  0.667  0.333  0.166
Mg  0.465  0.332  0.166
Mg  0.000  0.000  0.665
Mg  0.866  0.733  0.500
Mg  0.200  0.800  0.334
Mg  0.668  0.535  0.166
Mg  0.201  0.601  0.000
Mg  0.600  0.400  0.333
Mg  0.068  0.337  0.832
Mg  0.267  0.534  0.500
Mg  0.666  0.933  0.500
Mg  0.799  0.798  0.335
Mg  0.600  0.400  0.667
Mg  0.860  0.930  0.825
Mg  0.070  0.930  0.175
Mg  0.600  0.599  0.334
Mg  0.799  0.400  0.000
Mg  0.663  0.932  0.168
Mg  0.866  0.933  0.500
Mg  0.067  0.533  0.168
Mg  0.267  0.334  0.500
Mg  0.000  0.798  0.665
Mg  0.400  0.200  0.667
Mg  0.066  0.533  0.500
Mg  0.067  0.334  0.500
Mg  0.465  0.133  0.166
Mg  0.800  0.200  0.333
Mg  0.467  0.333  0.500
Mg  0.668  0.133  0.834
Mg  0.262  0.131  0.164
Mg  0.401  0.400  0.334
Mg  0.800  0.600  0.667
Mg  0.867  0.332  0.834
Mg  0.600  0.800  0.334
Mg  0.000  0.798  0.335
Mg  0.869  0.738  0.164
Mg  0.202  0.798  0.000
Mg  0.799  0.798  0.665
Mg  0.595  0.798  0.000
Mg  0.202  0.000  0.335
Mg  0.000  0.402  0.000
Mg  0.799  0.000  0.665
Mg  0.668  0.535  0.834
Mg  0.598  0.598  0.000
Mg  0.799  0.000  0.335
Mg  0.202  0.201  0.665
Mg  0.000  0.599  0.666
Mg  0.400  0.800  0.666
Mg  0.465  0.332  0.834
Mg  0.000  0.598  0.000
Mg  0.600  0.000  0.334
Mg  0.200  0.400  0.666
Mg  0.467  0.533  0.832
Mg  0.004  0.212  0.000
Mg  0.000  0.201  0.335
Mg  0.600  0.200  0.667
Mg  0.869  0.131  0.836
Mg  0.800  0.200  0.667
Mg  0.202  0.000  0.665
Mg  0.800  0.400  0.667
Mg  0.068  0.731  0.832
Mg  0.866  0.134  0.500
Mg  0.800  0.600  0.333
Mg  0.267  0.733  0.500
Mg  0.867  0.535  0.166
Mg  0.465  0.733  0.167
Mg  0.667  0.333  0.500
Mg  0.269  0.337  0.168
Mg  0.399  0.799  0.000
Mg  0.867  0.332  0.166
Mg  0.402  0.402  0.000
Mg  0.267  0.535  0.167
Mg  0.600  0.201  0.000
Mg  0.663  0.731  0.832
Mg  0.401  0.400  0.666
Mg  0.869  0.738  0.836
Mg  0.068  0.731  0.168
Mg  0.866  0.533  0.500
Mg  0.467  0.934  0.500
Mg  0.402  0.000  0.000
Mg  0.401  0.000  0.334
Mg  0.600  0.000  0.666
Mg  0.200  0.400  0.334
Mg  0.207  0.212  0.000
Mg  0.267  0.733  0.833
Mg  0.402  0.201  0.000
Mg  0.663  0.932  0.832
Mg  0.267  0.134  0.500
Mg  0.467  0.134  0.500
Mg  0.860  0.930  0.175
Mg  0.000  0.201  0.665
Mg  0.467  0.533  0.500
Mg  0.267  0.535  0.833
Mg  0.068  0.337  0.168
Mg  0.400  0.800  0.334
Ac  0.000  0.000  0.000



# 6
The following is a PBE calculation of a relaxed structure of Al2NiRu, from the Materials Project.

Computed properties:
As for the calculated total energy: -25.32 eV per cell. The calculation puts the calculated density at 6.97 g/cm3.

abc: 4.161 4.161 4.161
angles: 60.00 60.00 60.00
Atoms (fractional coordinates):
Al  0.750  0.750  0.750
Al  0.250  0.250  0.250
Ni  0.500  0.500  0.500
Ru  0.000  0.000  0.000



# 7
The following is a PBE calculation of a relaxed structure of LiLa2OsO6, from the Materials Project.

Computed properties:
As for the calculated total energy: -154.69 eV per cell. The calculation puts the calculated density at 7.38 g/cm3.

abc: 5.820 5.582 9.662
angles: 54.99 90.00 90.00
Atoms (fractional coordinates):
Os  0.500  0.500  0.000
Os  0.000  0.500  0.500
O  0.471  0.651  0.758
O  0.715  0.736  0.450
O  0.690  0.165  0.045
O  0.529  0.349  0.242
O  0.215  0.264  0.050
O  0.029  0.651  0.258
O  0.810  0.165  0.545
O  0.785  0.736  0.950
O  0.310  0.835  0.955
O  0.190  0.835  0.455
O  0.971  0.349  0.742
O  0.285  0.264  0.550
La  0.060  0.764  0.749
La  0.440  0.764  0.249
La  0.940  0.236  0.251
La  0.560  0.236  0.751
Li  0.000  0.000  0.000
Li  0.500  0.000  0.500



# 8
The following is a PBE calculation of a relaxed structure of LaGaO3, from the Materials Project.

Computed properties:
As for the calculated total energy: -72.42 eV per cell. The calculation puts the calculated density at 7.00 g/cm3.

abc: 5.560 5.560 5.560
angles: 120.24 119.60 90.14
Atoms (fractional coordinates):
La  0.741  0.750  0.991
La  0.259  0.250  0.009
O  0.705  0.205  0.000
O  0.295  0.295  0.500
O  0.168  0.750  0.418
O  0.295  0.795  0.000
O  0.832  0.250  0.582
O  0.705  0.705  0.500
Ga  0.500  0.000  0.500
Ga  0.000  0.500  0.500



# 9
The following is a PBE calculation of a relaxed structure of Zr7As4, from the Materials Project.

Computed properties:
As for the calculated total energy: -178.96 eV per cell. The calculation puts the calculated density at 6.99 g/cm3.

abc: 8.414 8.414 15.094
angles: 75.49 75.49 25.56
Atoms (fractional coordinates):
Zr  0.196  0.196  0.691
Zr  0.804  0.804  0.309
Zr  0.997  0.997  0.663
Zr  0.003  0.003  0.337
Zr  0.821  0.821  0.543
Zr  0.000  0.000  0.000
Zr  0.569  0.569  0.831
Zr  0.661  0.661  0.031
Zr  0.179  0.179  0.457
Zr  0.339  0.339  0.969
Zr  0.794  0.794  0.796
Zr  0.431  0.431  0.169
Zr  0.206  0.206  0.204
Zr  0.500  0.500  0.500
As  0.176  0.176  0.889
As  0.626  0.626  0.602
As  0.370  0.370  0.660
As  0.937  0.937  0.850
As  0.063  0.063  0.150
As  0.824  0.824  0.111
As  0.374  0.374  0.398
As  0.630  0.630  0.340



# 10
The following is a PBE calculation of a relaxed structure of HoNiSn4, from the Materials Project.

Computed properties:
As for the calculated total energy: -56.88 eV per cell. The calculation puts the calculated density at 8.19 g/cm3.

abc: 14.377 14.377 4.478
angles: 90.00 90.00 162.19
Atoms (fractional coordinates):
Sn  0.109  0.891  0.000
Sn  0.392  0.608  0.500
Sn  0.608  0.392  0.500
Sn  0.286  0.714  0.000
Sn  0.000  0.000  0.000
Sn  0.714  0.286  0.000
Sn  0.500  0.500  0.500
Sn  0.891  0.109  0.000
Ni  0.449  0.551  0.000
Ni  0.551  0.449  0.000
Ho  0.193  0.807  0.500
Ho  0.807  0.193  0.500



# 11
The following is a PBE calculation of a relaxed structure of Sr2DyReO6, from the Materials Project.

Computed properties:
As for the calculated total energy: -76.01 eV per cell. The calculation puts the calculated density at 7.07 g/cm3.

abc: 5.904 5.904 5.904
angles: 60.00 60.00 60.00
Atoms (fractional coordinates):
Sr  0.750  0.750  0.750
Sr  0.250  0.250  0.250
Dy  0.500  0.500  0.500
O  0.236  0.236  0.764
O  0.764  0.236  0.764
O  0.236  0.764  0.764
O  0.236  0.764  0.236
O  0.764  0.236  0.236
O  0.764  0.764  0.236
Re  0.000  0.000  0.000



# 12
The following is a PBE calculation of a relaxed structure of MgNbAgO3, from the Materials Project.

Computed properties:
The calculation puts the energy above the most stable polymorph in this dataset at 0.478 eV/atom. As for the calculated total energy: -36.40 eV per cell. The calculation puts the calculated density at 5.60 g/cm3.

abc: 4.159 4.682 4.159
angles: 90.00 90.00 90.00
Atoms (fractional coordinates):
Ag  0.500  0.500  0.500
Mg  0.500  0.000  0.500
O  0.000  0.500  0.000
O  0.500  0.000  0.000
O  0.000  0.000  0.500
Nb  0.000  0.000  0.000



| no. | ΔH_f (0 K) (eV per formula unit) |
| --- | --- |
| 1 | -17.34 |
| 2 | -15.98 |
| 3 | -14.03 |
| 4 | -2.01 |
| 5 | -3.00 |
| 6 | -2.77 |
| 7 | -28.77 |
| 8 | -15.46 |
| 9 | -11.01 |
| 10 | -2.04 |
| 11 | -30.01 |
| 12 | -9.09 |